# 1
First-principles (r²SCAN) data for crystalline Mg6Cu16Si7 at its relaxed geometry, as listed in the Materials Project database.

Symmetry ... Fm-3m (225)

The structure in POSCAR format:
```
Mg6Cu16Si7
1.0
0.000 5.789 5.789
5.789 0.000 5.789
5.789 5.789 0.000
Mg Cu Si
6 16 7
Cartesian
5.789 5.789 2.352
5.789 2.352 5.789
9.226 5.789 5.789
2.352 5.789 5.789
5.789 9.226 5.789
5.789 5.789 9.226
7.180 4.398 4.398
1.945 1.945 1.945
3.844 3.844 1.945
3.844 1.945 3.844
4.398 4.398 4.398
7.180 7.180 4.398
7.180 4.398 7.180
1.945 3.844 3.844
9.634 7.734 7.734
4.398 7.180 4.398
4.398 4.398 7.180
7.180 7.180 7.180
7.734 9.634 7.734
7.734 7.734 9.634
9.634 9.634 9.634
4.398 7.180 7.180
2.895 2.895 0.000
2.895 0.000 2.895
5.789 2.895 2.895
0.000 2.895 2.895
2.895 5.789 2.895
2.895 2.895 5.789
5.789 5.789 5.789
```

# 2
First-principles (r²SCAN) data for crystalline KO2 at its relaxed geometry, as listed in the Materials Project database.

Energy relative to the lowest polymorph listed for this composition ... 0.009 eV/f.u.
Symmetry ... P2_1/c (14)

The structure in POSCAR format:
```
KO2
1.0
4.300 0.000 0.000
0.000 5.482 0.000
-1.786 0.000 8.574
K O
4 8
Cartesian
0.827 1.274 1.066
-0.066 1.467 5.353
2.581 4.015 3.221
1.688 4.208 7.508
0.352 4.023 1.479
-0.541 4.200 5.766
1.427 4.011 0.669
0.534 4.212 4.956
1.980 1.270 3.618
1.087 1.471 7.905
3.056 1.282 2.808
2.163 1.459 7.095
```

# 3
First-principles (r²SCAN) data for crystalline UFe4B at its relaxed geometry, as listed in the Materials Project database.

Symmetry ... P6/mmm (191)

The structure in POSCAR format:
```
UFe4B
1.0
4.991 0.000 0.000
-2.495 4.322 0.000
0.000 0.000 7.154
U Fe B
2 8 2
Cartesian
0.000 0.000 0.000
0.000 0.000 3.577
-1.248 2.161 1.530
-1.248 2.161 5.624
0.000 2.881 3.577
2.495 0.000 1.530
2.495 0.000 5.624
1.248 2.161 1.530
1.248 2.161 5.624
2.495 1.441 3.577
0.000 2.881 0.000
2.495 1.441 0.000
```

# 4
First-principles (r²SCAN) data for crystalline LaSm3 at its relaxed geometry, as listed in the Materials Project database.

Symmetry ... P6_3/mmc (194)

The structure in POSCAR format:
```
LaSm3
1.0
7.485 0.000 0.000
-3.743 6.482 0.000
0.000 0.000 5.840
La Sm
2 6
Cartesian
0.000 4.322 1.460
3.743 2.161 4.380
0.000 2.148 4.380
-1.882 5.408 4.380
1.861 1.074 1.460
1.882 5.408 4.380
5.625 1.074 1.460
3.743 4.334 1.460
```

# 5
First-principles (r²SCAN) data for crystalline InPb at its relaxed geometry, as listed in the Materials Project database.

Symmetry ... R-3m (166)

The structure in POSCAR format:
```
InPb
1.0
1.714 0.990 5.726
-1.714 0.990 5.726
0.000 -1.979 5.726
In Pb
1 1
Cartesian
0.000 0.000 0.000
0.000 0.000 8.589
```

# 6
First-principles (r²SCAN) data for crystalline K2ZrS4 at its relaxed geometry, as listed in the Materials Project database.

Symmetry ... Pbca (61)

The structure in POSCAR format:
```
K2ZrS4
1.0
6.767 0.000 0.000
0.000 23.126 0.000
0.000 0.000 9.509
K Zr S
16 8 32
Cartesian
0.447 4.591 0.657
0.447 6.972 5.412
1.376 12.295 3.405
1.376 22.394 8.160
2.008 0.732 3.405
2.008 10.831 8.160
2.937 16.154 0.657
2.937 18.535 5.412
3.830 4.591 4.097
3.830 6.972 8.852
4.759 12.295 1.349
4.759 22.394 6.104
5.391 0.732 1.349
5.391 10.831 6.104
6.320 16.154 4.097
6.320 18.535 8.852
0.362 3.041 6.376
0.362 8.522 1.622
3.022 14.604 6.376
3.022 20.085 1.622
3.745 3.041 7.887
3.745 8.522 3.133
6.405 14.604 7.887
6.405 20.085 3.133
0.489 3.723 3.887
0.489 7.841 8.641
0.760 13.635 0.502
0.760 21.055 5.257
0.911 13.083 6.344
0.911 21.607 1.590
1.417 16.304 7.311
1.417 18.385 2.556
1.967 4.741 7.311
1.967 6.822 2.556
2.473 1.519 6.344
2.473 10.044 1.590
2.624 2.071 0.502
2.624 9.492 5.257
2.895 15.286 3.887
2.895 19.404 8.641
3.872 3.723 0.868
3.872 7.841 5.622
4.143 13.635 4.253
4.143 21.055 9.007
4.294 13.083 7.919
4.294 21.607 3.165
4.800 16.304 6.953
4.800 18.385 2.198
5.350 4.741 6.953
5.350 6.822 2.198
5.856 1.519 7.919
5.856 10.044 3.165
6.007 2.071 4.253
6.007 9.492 9.007
6.278 15.286 0.868
6.278 19.404 5.622
```

Table of electronic total energy (eV per atom), in record order: -9.15; -6.94; -24.27; -29.71; -39.41; -11.06
Table of energy of formation from the pure elements (eV per atom), in record order: -0.18; -0.95; -0.11; 0.03; 0.02; -1.50